[1]
Computed, not measured: an optimized crystal structure of Bi8Te9 at the PBE level of DFT.

Computed properties:
Crystal system: trigonal
E (MP2020), eV per atom: -3.92

Cell: 34.9919 34.9919 34.9919 Å, 7.35 7.35 7.35°
Last column: nearest neighbours and their distance in Å.
Atoms (fractional coordinates):
Bi (0.0879, 0.0879, 0.0879)  6 Te 3.10-3.30
Bi (0.1475, 0.1475, 0.1475)  6 Te 3.10-3.27
Bi (0.3254, 0.3254, 0.3254)  3 Bi 3.08
Bi (0.3824, 0.3824, 0.3824)  6 Te 3.11-3.28
Bi (0.6176, 0.6176, 0.6176)  6 Te 3.11-3.28
Bi (0.6746, 0.6746, 0.6746)  3 Bi 3.08
Bi (0.8525, 0.8525, 0.8525)  6 Te 3.10-3.27
Bi (0.9121, 0.9121, 0.9121)  6 Te 3.10-3.30
Te (0.0326, 0.0326, 0.0326)  3 Bi 3.11
Te (0.2021, 0.2021, 0.2021)  3 Bi 3.10
Te (0.2651, 0.2651, 0.2651)  6 Bi 3.28-3.30
Te (0.4374, 0.4374, 0.4374)  3 Bi 3.10
Te (0.5000, 0.5000, 0.5000)  6 Bi 3.27
Te (0.5626, 0.5626, 0.5626)  3 Bi 3.10
Te (0.7349, 0.7349, 0.7349)  6 Bi 3.28-3.30
Te (0.7979, 0.7979, 0.7979)  3 Bi 3.10
Te (0.9674, 0.9674, 0.9674)  3 Bi 3.11

=====

[2]
Computed, not measured: an optimized crystal structure of Bi2Te3 at the PBE level of DFT.

Computed properties:
Crystal system: trigonal
E (MP2020), eV per atom: -3.68

Cell: 10.2289 10.2289 10.2289 Å, 25.17 25.17 25.17°
Last column: nearest neighbours and their distance in Å.
Atoms (fractional coordinates):
Bi (0.2047, 0.2047, 0.2047)  3 Te 3.13, 3 Bi 3.42
Bi (0.7953, 0.7953, 0.7953)  3 Te 3.13, 3 Bi 3.42
Te (0.0000, 0.0000, 0.0000)  6 Te 3.28
Te (0.4020, 0.4020, 0.4020)  3 Bi 3.13, 3 Te 3.28
Te (0.5980, 0.5980, 0.5980)  3 Bi 3.13, 3 Te 3.28

=====

[3]
Computed, not measured: an optimized crystal structure of Bi2Te at the PBE level of DFT.

Computed properties:
Crystal system: tetragonal
E (MP2020), eV per atom: -3.80

Cell: 6.4964 6.4964 6.4964 Å, 103.81 103.81 121.50°
Last column: nearest neighbours and their distance in Å.
Atoms (fractional coordinates):
Bi (0.3750, 0.0475, 0.1725)  2 Te 3.17, 4 Bi 3.36
Bi (0.7975, 0.6250, 0.6725)  2 Te 3.17, 4 Bi 3.36
Bi (0.8750, 0.2025, 0.8275)  2 Te 3.17, 4 Bi 3.36
Bi (0.9525, 0.1250, 0.3275)  2 Te 3.17, 4 Bi 3.36
Te (0.2500, 0.7500, 0.5000)  4 Bi 3.17
Te (0.5000, 0.5000, 0.0000)  4 Bi 3.17

=====

[4]
Computed, not measured: an optimized crystal structure of Th2BiTe2 at the PBE level of DFT.

Computed properties:
Crystal system: tetragonal
E (MP2020), eV per atom: -4.96

Cell: 3.2992 3.2992 17.2951 Å, 90.00 90.00 90.00°
Last column: nearest neighbours and their distance in Å.
Atoms (fractional coordinates):
Th (0.0000, 0.0000, 0.1874)  1 Te 3.03, 1 Bi 3.24, 4 Th 3.30
Th (0.0000, 0.0000, 0.8126)  1 Te 3.03, 1 Bi 3.24, 4 Th 3.30
Bi (0.0000, 0.0000, 0.0000)  2 Th 3.24, 4 Bi 3.30
Te (0.0000, 0.0000, 0.3625)  1 Th 3.03, 4 Te 3.30
Te (0.0000, 0.0000, 0.6375)  1 Th 3.03, 4 Te 3.30

=====

[5]
Computed, not measured: an optimized crystal structure of ThBiTe at the PBE level of DFT.

Computed properties:
Crystal system: tetragonal
E (MP2020), eV per atom: -5.86

Cell: 4.5261 4.5261 9.2623 Å, 90.00 90.00 90.00°
Last column: nearest neighbours and their distance in Å.
Atoms (fractional coordinates):
Th (0.2500, 0.2500, 0.2208)  5 Te 3.29-3.30, 4 Bi 3.44
Th (0.7500, 0.7500, 0.7792)  5 Te 3.29-3.30, 4 Bi 3.44
Bi (0.2500, 0.7500, 0.5000)  4 Bi 3.20, 4 Th 3.44
Bi (0.7500, 0.2500, 0.5000)  4 Bi 3.20, 4 Th 3.44
Te (0.2500, 0.2500, 0.8655)  5 Th 3.29-3.30
Te (0.7500, 0.7500, 0.1345)  5 Th 3.29-3.30

=====

[6]
Computed, not measured: an optimized crystal structure of Th2BiTe at the PBE level of DFT.

Computed properties:
Crystal system: cubic
E (MP2020), eV per atom: -6.41

Cell: 5.5112 5.5112 5.5112 Å, 60.00 60.00 60.00°
Last column: nearest neighbours and their distance in Å.
Atoms (fractional coordinates):
Th (0.2500, 0.2500, 0.2500)  4 Te 3.37, 4 Bi 3.37
Th (0.7500, 0.7500, 0.7500)  4 Te 3.37, 4 Bi 3.37
Bi (0.0000, 0.0000, 0.0000)  8 Th 3.37
Te (0.5000, 0.5000, 0.5000)  8 Th 3.37

=====

[7]
Computed, not measured: an optimized crystal structure of Tl9BiTe6 at the PBE level of DFT.

Computed properties:
Crystal system: tetragonal
E (MP2020), eV per atom: -3.22

Cell: 9.2667 9.2667 9.2667 Å, 122.01 122.01 86.55°
Last column: nearest neighbours and their distance in Å.
Atoms (fractional coordinates):
Tl (0.0000, 0.0000, 0.0000)  6 Te 3.49-3.52
Tl (0.0113, 0.5112, 0.2066)  4 Te 3.23-3.61, 1 Tl 3.61
Tl (0.1953, 0.9887, 0.4999)  4 Te 3.23-3.61, 1 Tl 3.61
Tl (0.3046, 0.8047, 0.7934)  4 Te 3.23-3.61, 1 Tl 3.61
Tl (0.4888, 0.6954, 0.5001)  4 Te 3.23-3.61, 1 Tl 3.61
Tl (0.5112, 0.3046, 0.4999)  4 Te 3.23-3.61, 1 Tl 3.61
Tl (0.6954, 0.1953, 0.2066)  4 Te 3.23-3.61, 1 Tl 3.61
Tl (0.8047, 0.0113, 0.5001)  4 Te 3.23-3.61, 1 Tl 3.61
Tl (0.9887, 0.4888, 0.7934)  4 Te 3.23-3.61, 1 Tl 3.61
Bi (0.5000, 0.5000, 0.0000)  6 Te 3.22-3.23
Te (0.1736, 0.3480, 0.5217)  7 Tl 3.23-3.58, 1 Bi 3.23
Te (0.2611, 0.2611, 0.0000)  1 Bi 3.22, 5 Tl 3.52-3.61
Te (0.3480, 0.8264, 0.1744)  7 Tl 3.23-3.58, 1 Bi 3.23
Te (0.6520, 0.1736, 0.8256)  7 Tl 3.23-3.58, 1 Bi 3.23
Te (0.7389, 0.7389, 0.0000)  1 Bi 3.22, 5 Tl 3.52-3.61
Te (0.8264, 0.6520, 0.4783)  7 Tl 3.23-3.58, 1 Bi 3.23

=====

[8]
Computed, not measured: an optimized crystal structure of U2BiTe2 at the PBE level of DFT.

Computed properties:
Crystal system: tetragonal
E (MP2020), eV per atom: -6.22

Cell: 3.0866 3.0866 17.4616 Å, 90.00 90.00 90.00°
Last column: nearest neighbours and their distance in Å.
Atoms (fractional coordinates):
U (0.0000, 0.0000, 0.1858)  1 Te 3.08, 4 U 3.09, 1 Bi 3.24
U (0.0000, 0.0000, 0.8142)  1 Te 3.08, 4 U 3.09, 1 Bi 3.24
Bi (0.0000, 0.0000, 0.0000)  4 Bi 3.09, 2 U 3.24
Te (0.0000, 0.0000, 0.3623)  1 U 3.08, 4 Te 3.09
Te (0.0000, 0.0000, 0.6377)  1 U 3.08, 4 Te 3.09

=====

We obtain energy of formation from the pure elements values of -0.426 -0.240 -0.155 0.041 -1.044 -0.947 -0.467 0.334 eV/atom for the records listed above, in that order.